Ti3Zn2O8 after structural relaxation. Source: the Materials Project, functional PBE.

```
Ti3Zn2O8
1.0
3.0067 1.7359 4.7951
-3.0067 1.7359 4.7951
0.0000 -3.4718 4.7951
Ti Zn O
3 2 8
direct
0.0000 0.5000 0.5000 Ti
0.5000 0.0000 0.5000 Ti
0.5000 0.5000 0.0000 Ti
0.1156 0.1156 0.1156 Zn
0.8844 0.8844 0.8844 Zn
0.2475 0.2475 0.7126 O
0.2475 0.7126 0.2475 O
0.2568 0.2568 0.2568 O
0.2874 0.7525 0.7525 O
0.7126 0.2475 0.2475 O
0.7432 0.7432 0.7432 O
0.7525 0.2874 0.7525 O
0.7525 0.7525 0.2874 O
```

Summary:
**Total energy**: -97.88 eV for the cell shown
**E (MP2020)**: -103.4 eV/cell
**M_tot**: 0.00 Bohr magnetons per cell
**Offset from the most stable computed form**: 1.15 eV per formula unit

Ti3Zn2O8 after structural relaxation. Source: the Materials Project, functional PBE.

```
Ti3Zn2O8
1.0
5.9669 0.0000 0.0000
-2.9834 5.1675 0.0000
0.0000 0.0000 9.5532
Ti Zn O
6 4 16
direct
0.1627 0.3254 0.0000 Ti
0.1627 0.8373 0.0000 Ti
0.3254 0.1627 0.5000 Ti
0.6746 0.8373 0.0000 Ti
0.8373 0.1627 0.5000 Ti
0.8373 0.6746 0.5000 Ti
0.3333 0.6667 0.2853 Zn
0.3333 0.6667 0.6743 Zn
0.6667 0.3333 0.1743 Zn
0.6667 0.3333 0.7853 Zn
0.0000 0.0000 0.1064 O
0.0000 0.0000 0.6064 O
0.0361 0.5181 0.1221 O
0.1630 0.3259 0.4023 O
0.1630 0.8370 0.4023 O
0.3259 0.1630 0.9023 O
0.3333 0.6667 0.8894 O
0.4819 0.5181 0.1221 O
0.4819 0.9639 0.1221 O
0.5181 0.0361 0.6221 O
0.5181 0.4819 0.6221 O
0.6667 0.3333 0.3894 O
0.6741 0.8370 0.4023 O
0.8370 0.1630 0.9023 O
0.8370 0.6741 0.9023 O
0.9639 0.4819 0.6221 O
```

Summary:
**Total energy**: -196.88 eV for the cell shown
**E (MP2020)**: -207.9 eV/cell
**M_tot**: 0.00 Bohr magnetons per cell
**Offset from the most stable computed form**: 0.58 eV per formula unit

TiZnO3 after structural relaxation. Source: the Materials Project, functional PBE.

```
TiZnO3
1.0
3.8431 0.0000 0.0000
0.0000 3.8431 0.0000
0.0000 0.0000 3.8431
Ti Zn O
1 1 3
direct
0.0000 0.0000 0.0000 Ti
0.5000 0.5000 0.5000 Zn
0.0000 0.0000 0.5000 O
0.0000 0.5000 0.0000 O
0.5000 0.0000 0.0000 O
```

Summary:
**Total energy**: -33.36 eV for the cell shown
**E (MP2020)**: -35.4 eV/cell
**M_tot**: 0.00 Bohr magnetons per cell

TiZnO3 after structural relaxation. Source: the Materials Project, functional PBE.

```
TiZnO3
1.0
2.5646 1.4807 4.6946
-2.5646 1.4807 4.6946
0.0000 -2.9613 4.6946
Ti Zn O
2 2 6
direct
0.1456 0.1456 0.1456 Ti
0.8544 0.8544 0.8544 Ti
0.3607 0.3607 0.3607 Zn
0.6393 0.6393 0.6393 Zn
0.0505 0.4368 0.7765 O
0.2235 0.9495 0.5632 O
0.4368 0.7765 0.0505 O
0.5632 0.2235 0.9495 O
0.7765 0.0505 0.4368 O
0.9495 0.5632 0.2235 O
```

Summary:
**Total energy**: -71.80 eV for the cell shown
**E (MP2020)**: -75.9 eV/cell
**M_tot**: 0.00 Bohr magnetons per cell

Ti3Zn2O8 after structural relaxation. Source: the Materials Project, functional PBE.

```
Ti3Zn2O8
1.0
8.4826 0.0000 0.0000
0.0000 8.4826 0.0000
0.0000 0.0000 8.4826
Ti Zn O
12 8 32
direct
0.1141 0.3750 0.3641 Ti
0.1250 0.6359 0.6141 Ti
0.1359 0.8859 0.8750 Ti
0.3641 0.1141 0.3750 Ti
0.3750 0.3641 0.1141 Ti
0.3859 0.6250 0.8641 Ti
0.6141 0.1250 0.6359 Ti
0.6250 0.8641 0.3859 Ti
0.6359 0.6141 0.1250 Ti
0.8641 0.3859 0.6250 Ti
0.8750 0.1359 0.8859 Ti
0.8859 0.8750 0.1359 Ti
0.0060 0.5060 0.9940 Zn
0.2440 0.2560 0.7440 Zn
0.2560 0.7440 0.2440 Zn
0.4940 0.4940 0.4940 Zn
0.5060 0.9940 0.0060 Zn
0.7440 0.2440 0.2560 Zn
0.7560 0.7560 0.7560 Zn
0.9940 0.0060 0.5060 Zn
0.1048 0.8592 0.1085 O
0.1085 0.1048 0.8592 O
0.1087 0.3913 0.6087 O
0.1092 0.8548 0.6415 O
0.1415 0.3908 0.1452 O
0.1408 0.6085 0.3952 O
0.1413 0.6413 0.8587 O
0.1452 0.1415 0.3908 O
0.3548 0.8585 0.8908 O
0.3587 0.3587 0.3587 O
0.3592 0.3915 0.8952 O
0.3585 0.6092 0.6452 O
0.3908 0.1452 0.1415 O
0.3913 0.6087 0.1087 O
0.3915 0.8952 0.3592 O
0.3952 0.1408 0.6085 O
0.6048 0.6408 0.8915 O
0.6087 0.1087 0.3913 O
0.6085 0.3952 0.1408 O
0.6092 0.6452 0.3585 O
0.6415 0.1092 0.8548 O
0.6413 0.8587 0.1413 O
0.6408 0.8915 0.6048 O
0.6452 0.3585 0.6092 O
0.8548 0.6415 0.1092 O
0.8592 0.1085 0.1048 O
0.8587 0.1413 0.6413 O
0.8585 0.8908 0.3548 O
0.8908 0.3548 0.8585 O
0.8915 0.6048 0.6408 O
0.8913 0.8913 0.8913 O
0.8952 0.3592 0.3915 O
```

Summary:
**Total energy**: -396.09 eV for the cell shown
**E (MP2020)**: -418.1 eV/cell
**Offset from the most stable computed form**: 0.00 eV per formula unit
**Maximum piezoelectric response**: 0.00 C/m²

TiZnO3 after structural relaxation. Source: the Materials Project, functional PBE.

```
TiZnO3
1.0
5.5471 0.0000 0.0000
2.1036 5.2706 0.0000
2.5943 1.6076 5.0691
Ti Zn O
2 2 6
direct
0.2478 0.4124 0.0844 Ti
0.7522 0.5876 0.9156 Ti
0.0707 0.9225 0.2572 Zn
0.9293 0.0775 0.7428 Zn
0.0500 0.2737 0.9662 O
0.1975 0.1538 0.3921 O
0.3935 0.6445 0.1514 O
0.6065 0.3555 0.8486 O
0.8025 0.8462 0.6079 O
0.9500 0.7263 0.0338 O
```

Summary:
**Total energy**: -71.13 eV for the cell shown
**E (MP2020)**: -75.3 eV/cell
**M_tot**: 0.00 Bohr magnetons per cell

Ti3ZnO7 after structural relaxation. Source: the Materials Project, functional PBE.

```
Ti3ZnO7
1.0
10.1584 0.0000 0.0000
0.0000 10.4408 0.0000
0.0000 0.0000 5.5408
Ti Zn O
12 4 28
direct
0.1938 0.0340 0.2364 Ti
0.1938 0.4660 0.2364 Ti
0.2254 0.2500 0.7271 Ti
0.2746 0.7500 0.2271 Ti
0.3062 0.5340 0.7364 Ti
0.3062 0.9660 0.7364 Ti
0.6938 0.0340 0.2636 Ti
0.6938 0.4660 0.2636 Ti
0.7254 0.2500 0.7729 Ti
0.7746 0.7500 0.2729 Ti
0.8062 0.5340 0.7636 Ti
0.8062 0.9660 0.7636 Ti
0.0419 0.7500 0.6017 Zn
0.4581 0.2500 0.1017 Zn
0.5419 0.7500 0.8983 Zn
0.9581 0.2500 0.3983 Zn
0.0401 0.0988 0.2409 O
0.0401 0.4012 0.2409 O
0.0577 0.2500 0.7081 O
0.2112 0.6216 0.4725 O
0.2112 0.8784 0.4725 O
0.2218 0.6140 0.0072 O
0.2218 0.8860 0.0072 O
0.2782 0.1140 0.5072 O
0.2782 0.3860 0.5072 O
0.2888 0.1216 0.9725 O
0.2888 0.3784 0.9725 O
0.4423 0.7500 0.2081 O
0.4599 0.5988 0.7409 O
0.4599 0.9012 0.7409 O
0.5401 0.0988 0.2591 O
0.5401 0.4012 0.2591 O
0.5577 0.2500 0.7919 O
0.7112 0.6216 0.0275 O
0.7112 0.8784 0.0275 O
0.7218 0.6140 0.4928 O
0.7218 0.8860 0.4928 O
0.7782 0.1140 0.9928 O
0.7782 0.3860 0.9928 O
0.7888 0.1216 0.5275 O
0.7888 0.3784 0.5275 O
0.9423 0.7500 0.2919 O
0.9599 0.5988 0.7591 O
0.9599 0.9012 0.7591 O
```

Summary:
**Total energy**: -354.90 eV for the cell shown
**E (MP2020)**: -374.1 eV/cell
**M_tot**: 0.00 Bohr magnetons per cell

Ti2Zn2O5 after structural relaxation. Source: the Materials Project, functional PBE.

```
Ti2Zn2O5
1.0
5.4454 0.0000 0.0000
0.0000 11.0356 0.0000
0.0000 0.0000 3.5380
Ti Zn O
4 4 10
direct
0.2191 0.1378 0.0000 Ti
0.2809 0.6378 0.0000 Ti
0.7191 0.3622 0.0000 Ti
0.7809 0.8622 0.0000 Ti
0.2272 0.3952 0.5000 Zn
0.2728 0.8952 0.5000 Zn
0.7272 0.1048 0.5000 Zn
0.7728 0.6048 0.5000 Zn
0.0000 0.0000 0.0000 O
0.0944 0.2960 0.0000 O
0.1725 0.5863 0.5000 O
0.3275 0.0863 0.5000 O
0.4056 0.7960 0.0000 O
0.5000 0.5000 0.0000 O
0.5944 0.2040 0.0000 O
0.6725 0.9137 0.5000 O
0.8275 0.4137 0.5000 O
0.9056 0.7040 0.0000 O
```

Summary:
**Total energy**: -122.20 eV for the cell shown
**E (MP2020)**: -129.1 eV/cell
**M_tot**: 0.08 Bohr magnetons per cell

ZrTiZn4O8 after structural relaxation. Source: the Materials Project, functional PBE.

```
ZrTiZn4O8
1.0
5.3740 -3.0233 0.0000
5.3740 3.0233 0.0000
-3.5604 0.0000 5.0890
Zr Ti Zn O
1 1 4 8
direct
0.0000 0.0000 0.0000 Zr
0.0000 0.0000 0.5000 Ti
0.0000 0.5000 0.0000 Zn
0.3610 0.3610 0.6057 Zn
0.5000 0.0000 0.0000 Zn
0.6390 0.6390 0.3943 Zn
0.2225 0.7690 0.7334 O
0.2250 0.2250 0.7349 O
0.2310 0.7775 0.2666 O
0.2387 0.2387 0.2152 O
0.7613 0.7613 0.7848 O
0.7690 0.2225 0.7334 O
0.7750 0.7750 0.2651 O
0.7775 0.2310 0.2666 O
```

Summary:
**Total energy**: -90.69 eV for the cell shown
**E (MP2020)**: -96.2 eV/cell
**M_tot**: 0.00 Bohr magnetons per cell

ZrTi2O after structural relaxation. Source: the Materials Project, functional PBE.

```
ZrTi2O
1.0
2.3403 -4.2281 0.0000
2.3403 4.2281 0.0000
0.0000 0.0000 3.0325
Zr Ti O
1 2 1
direct
0.0000 0.0000 0.0000 Zr
0.3287 0.6713 0.5000 Ti
0.6713 0.3287 0.5000 Ti
0.5000 0.5000 0.0000 O
```

Summary:
**Total energy**: -34.99 eV for the cell shown
**E (MP2020)**: -35.7 eV/cell

ZrTi2O after structural relaxation. Source: the Materials Project, functional PBE.

```
ZrTi2O
1.0
4.6516 0.0000 0.0000
-2.3258 4.0284 0.0000
0.0000 0.0000 6.7145
Zr Ti O
2 4 2
direct
0.0000 0.0000 0.0000 Zr
0.0000 0.0000 0.5000 Zr
0.3333 0.6667 0.2163 Ti
0.3333 0.6667 0.7837 Ti
0.6667 0.3333 0.2163 Ti
0.6667 0.3333 0.7837 Ti
0.3333 0.6667 0.5000 O
0.6667 0.3333 0.5000 O
```

Summary:
**Total energy**: -67.13 eV for the cell shown
**E (MP2020)**: -68.5 eV/cell
**M_tot**: 0.00 Bohr magnetons per cell

Zr3TiO8 after structural relaxation. Source: the Materials Project, functional PBE.

```
Zr3TiO8
1.0
-2.5499 2.5499 5.3129
2.5499 -2.5499 5.3129
2.5499 2.5499 -5.3129
Zr Ti O
3 1 8
direct
0.0000 0.0000 0.0000 Zr
0.2500 0.7500 0.5000 Zr
0.7500 0.2500 0.5000 Zr
0.5000 0.5000 0.0000 Ti
0.0503 0.6341 0.0000 O
0.1872 0.1872 0.5543 O
0.3659 0.3659 0.4161 O
0.3672 0.8128 0.0000 O
0.6328 0.6328 0.4457 O
0.6341 0.0503 0.0000 O
0.8128 0.3672 0.0000 O
0.9497 0.9497 0.5839 O
```

Summary:
**Total energy**: -112.07 eV for the cell shown
**E (MP2020)**: -117.6 eV/cell
**M_tot**: 0.00 Bohr magnetons per cell

ZrTi2O after structural relaxation. Source: the Materials Project, functional PBE.

```
ZrTi2O
1.0
2.4708 -4.0675 0.0000
2.4708 4.0675 0.0000
0.0000 0.0000 6.0613
Zr Ti O
2 4 2
direct
0.0000 0.0000 0.0000 Zr
0.0000 0.0000 0.5000 Zr
0.3367 0.6633 0.2464 Ti
0.3367 0.6633 0.7536 Ti
0.6633 0.3367 0.2464 Ti
0.6633 0.3367 0.7536 Ti
0.0000 0.5000 0.5000 O
0.5000 0.0000 0.5000 O
```

Summary:
**Total energy**: -69.01 eV for the cell shown
**E (MP2020)**: -70.4 eV/cell
**M_tot**: 0.00 Bohr magnetons per cell

TlO2 after structural relaxation. Source: the Materials Project, functional PBE.

```
TlO2
1.0
4.8419 0.0000 0.0000
0.0000 17.4909 0.0000
0.0000 0.0000 3.4875
Tl O
6 12
direct
0.0000 0.0000 0.0000 Tl
0.0575 0.1743 0.5000 Tl
0.4425 0.6743 0.0000 Tl
0.5000 0.5000 0.5000 Tl
0.5575 0.3257 0.0000 Tl
0.9425 0.8257 0.5000 Tl
0.1547 0.7747 0.0000 O
0.1953 0.9410 0.5000 O
0.2479 0.6127 0.5000 O
0.2521 0.1127 0.0000 O
0.3047 0.4410 0.0000 O
0.3453 0.2747 0.5000 O
0.6547 0.7253 0.5000 O
0.6953 0.5590 0.0000 O
0.7479 0.8873 0.0000 O
0.7521 0.3873 0.5000 O
0.8047 0.0590 0.5000 O
0.8453 0.2253 0.0000 O
```

Summary:
**Total energy**: -75.59 eV for the cell shown
**E (MP2020)**: -83.8 eV/cell
**M_tot**: 6.00 Bohr magnetons per cell

Tl4O3 after structural relaxation. Source: the Materials Project, functional PBE.

```
Tl4O3
1.0
7.9460 0.0000 0.0000
0.0000 3.5596 0.0000
-3.7917 0.0000 10.6883
Tl O
8 6
direct
0.0690 0.2500 0.3924 Tl
0.1950 0.7500 0.1605 Tl
0.2652 0.2500 0.8631 Tl
0.4160 0.7500 0.6245 Tl
0.5840 0.2500 0.3755 Tl
0.7348 0.7500 0.1369 Tl
0.8050 0.2500 0.8395 Tl
0.9310 0.7500 0.6076 Tl
0.0250 0.7500 0.8190 O
0.1381 0.2500 0.6076 O
0.2616 0.7500 0.3998 O
0.7385 0.2500 0.6002 O
0.8619 0.7500 0.3924 O
0.9750 0.2500 0.1810 O
```

Summary:
**Total energy**: -57.59 eV for the cell shown
**E (MP2020)**: -61.7 eV/cell

UTl2O4 after structural relaxation. Source: the Materials Project, functional PBE.

```
UTl2O4
1.0
-2.1910 2.1910 7.0885
2.1910 -2.1910 7.0885
2.1910 2.1910 -7.0885
U Tl O
1 2 4
direct
0.0000 0.0000 0.0000 U
0.3464 0.3464 0.0000 Tl
0.6536 0.6536 0.0000 Tl
0.0000 0.5000 0.5000 O
0.1373 0.1373 0.0000 O
0.5000 0.0000 0.5000 O
0.8627 0.8627 0.0000 O
```

Summary:
**Total energy**: -50.75 eV for the cell shown
**E (MP2020)**: -53.5 eV/cell

YTlO2 after structural relaxation. Source: the Materials Project, functional PBE.

```
YTlO2
1.0
1.7562 1.0140 6.5006
-1.7562 1.0140 6.5006
0.0000 -2.0279 6.5006
Y Tl O
1 1 2
direct
0.0000 0.0000 0.0000 Y
0.5000 0.5000 0.5000 Tl
0.2757 0.2757 0.2757 O
0.7243 0.7243 0.7243 O
```

Summary:
**Total energy**: -28.12 eV for the cell shown
**E (MP2020)**: -29.5 eV/cell
**M_tot**: 0.00 Bohr magnetons per cell

TmO3 after structural relaxation. Source: the Materials Project, functional PBE.

```
TmO3
1.0
0.0000 2.7595 2.7595
2.7595 0.0000 2.7595
2.7595 2.7595 0.0000
Tm O
1 3
direct
0.0000 0.0000 0.0000 Tm
0.2500 0.2500 0.2500 O
0.5000 0.5000 0.5000 O
0.7500 0.7500 0.7500 O
```

Summary:
**Total energy**: -25.23 eV for the cell shown
**E (MP2020)**: -27.3 eV/cell
**M_tot**: 3.00 Bohr magnetons per cell
**Offset from the most stable computed form**: 0.41 eV per formula unit